1.
Compound: SiO2
Source: the Materials Project
Functional: r2SCAN
Structure: optimized geometry

```
SiO2
1.0
9.1454 0.0000 0.0000
-4.5727 7.9202 0.0000
0.0000 0.0000 5.2170
Si O
6 12
direct
0.1167 0.5584 0.2500
0.4416 0.5584 0.2500
0.4416 0.8833 0.2500
0.5584 0.1167 0.7500
0.5584 0.4416 0.7500
0.8833 0.4416 0.7500
0.0000 0.5000 0.0000
0.0000 0.5000 0.5000
0.2378 0.4756 0.2500
0.2378 0.7622 0.2500
0.4756 0.2378 0.7500
0.5000 0.0000 0.0000
0.5000 0.0000 0.5000
0.5000 0.5000 0.0000
0.5000 0.5000 0.5000
0.5244 0.7622 0.2500
0.7622 0.2378 0.7500
0.7622 0.5244 0.7500
```

2.
Compound: CsH3O2
Source: the Materials Project
Functional: r2SCAN
Structure: optimized geometry

```
CsH3O2
1.0
4.2502 0.0000 0.0000
0.0000 4.4252 0.0000
0.0000 0.0000 8.0471
Cs H O
2 6 4
direct
0.0000 0.0000 0.0000
0.0000 0.5000 0.5000
0.5000 0.0000 0.5731
0.5000 0.1908 0.2766
0.5000 0.3092 0.7766
0.5000 0.5000 0.0731
0.5000 0.6908 0.7766
0.5000 0.8092 0.2766
0.5000 0.0000 0.3487
0.5000 0.0000 0.6942
0.5000 0.5000 0.1942
0.5000 0.5000 0.8487
```

3.
Compound: YbHgPb
Source: the Materials Project
Functional: r2SCAN
Structure: optimized geometry

```
YbHgPb
1.0
5.1119 0.0000 0.0000
-2.5560 4.4271 0.0000
0.0000 0.0000 6.7361
Yb Hg Pb
2 2 2
direct
0.0000 0.0000 0.0000
0.0000 0.0000 0.5000
0.3333 0.6667 0.2500
0.6667 0.3333 0.7500
0.3333 0.6667 0.7500
0.6667 0.3333 0.2500
```

4.
Compound: Ca4SiP4
Source: the Materials Project
Functional: r2SCAN
Structure: optimized geometry

```
Ca4SiP4
1.0
11.8705 0.0000 0.0000
0.0000 11.8705 0.0000
0.0000 0.0000 11.8705
Ca Si P
32 8 32
direct
0.0954 0.1334 0.3548
0.0954 0.8666 0.6452
0.1334 0.3548 0.0954
0.1334 0.6452 0.9046
0.1452 0.3666 0.5954
0.1452 0.6334 0.4046
0.1456 0.1456 0.8544
0.1456 0.8544 0.1456
0.3544 0.3544 0.3544
0.3544 0.6456 0.6456
0.3548 0.0954 0.1334
0.3548 0.9046 0.8666
0.3666 0.4046 0.8548
0.3666 0.5954 0.1452
0.4046 0.1452 0.6334
0.4046 0.8548 0.3666
0.5954 0.1452 0.3666
0.5954 0.8548 0.6334
0.6334 0.4046 0.1452
0.6334 0.5954 0.8548
0.6452 0.0954 0.8666
0.6452 0.9046 0.1334
0.6456 0.3544 0.6456
0.6456 0.6456 0.3544
0.8544 0.1456 0.1456
0.8544 0.8544 0.8544
0.8548 0.3666 0.4046
0.8548 0.6334 0.5954
0.8666 0.3548 0.9046
0.8666 0.6452 0.0954
0.9046 0.1334 0.6452
0.9046 0.8666 0.3548
0.0000 0.0000 0.0000
0.0000 0.5000 0.2500
0.0000 0.5000 0.7500
0.2500 0.0000 0.5000
0.5000 0.2500 0.0000
0.5000 0.5000 0.5000
0.5000 0.7500 0.0000
0.7500 0.0000 0.5000
0.1074 0.3821 0.3532
0.1074 0.6179 0.6468
0.1093 0.1093 0.1093
0.1093 0.8907 0.8907
0.1179 0.3926 0.8532
0.1179 0.6074 0.1468
0.1468 0.1179 0.6074
0.1468 0.8821 0.3926
0.3532 0.1074 0.3821
0.3532 0.8926 0.6179
0.3821 0.3532 0.1074
0.3821 0.6468 0.8926
0.3907 0.3907 0.6093
0.3907 0.6093 0.3907
0.3926 0.1468 0.8821
0.3926 0.8532 0.1179
0.6074 0.1468 0.1179
0.6074 0.8532 0.8821
0.6093 0.3907 0.3907
0.6093 0.6093 0.6093
0.6179 0.3532 0.8926
0.6179 0.6468 0.1074
0.6468 0.1074 0.6179
0.6468 0.8926 0.3821
0.8532 0.1179 0.3926
0.8532 0.8821 0.6074
0.8821 0.3926 0.1468
0.8821 0.6074 0.8532
0.8907 0.1093 0.8907
0.8907 0.8907 0.1093
0.8926 0.3821 0.6468
0.8926 0.6179 0.3532
```

no.,E_form (eV/atom),spin magnetization (μB per cell)
1,-2.996,0.00
2,-1.299,0.00
3,-0.271,0.00
4,-1.206,0.00